No. 1
## Ba2FeMoO6 (PBE+U)

Data for a geometry-optimized Ba2FeMoO6 structure.

Properties
E above lowest polymorph, meV per atom: 3
Total energy after the MP2020 corrections, eV per atom: -7.782
Symmetry: P-1
Size of the total moment, μB/f.u.: 4.00
ρ, g/cm³: 6.3
Energy of formation from the pure elements, meV per atom: -2497.8

Cell and atoms, written as POSCAR:
```
Ba2FeMoO6
1.0
-1.6820 4.7424 -2.9000
-1.6502 4.7476 2.8926
4.9592 -0.0118 -2.8676
Ba Fe Mo O
2 1 1 6
Cartesian
1.6338 5.9226 -2.8786 Ba
-0.0068 3.5556 0.0036 Ba
-1.6820 4.7424 -2.9000 Fe
1.6386 2.3653 -2.8838 Mo
2.4695 3.5466 -1.4333 O
-0.8425 5.9316 -1.4418 O
0.7794 8.2763 -1.4030 O
0.0150 3.5393 -2.8995 O
0.8476 1.2019 -1.4720 O
1.6119 5.9390 0.0245 O
```


No. 2
## NiH4I2O8 (PBE+U)

Data for a geometry-optimized NiH4I2O8 structure.

Properties
Total energy after the MP2020 corrections, eV per atom: -5.213
Symmetry: Pbca
Size of the total moment, μB/f.u.: 2.00
ρ, g/cm³: 3.8
Energy of formation from the pure elements, meV per atom: -1081.1

Cell and atoms, written as POSCAR:
```
NiH4I2O8
1.0
6.9151 0.0000 0.0000
0.0000 9.1406 0.0000
0.0000 0.0000 12.3234
Ni H I O
4 16 8 32
Cartesian
0.0000 0.0000 0.0000 Ni
3.4576 4.5703 0.0000 Ni
0.0000 4.5703 6.1617 Ni
3.4576 0.0000 6.1617 Ni
1.6028 5.5257 4.3383 H
5.0604 8.1853 7.9852 H
5.3123 0.9554 1.8234 H
1.8547 3.6149 10.5000 H
5.3123 3.6149 7.9852 H
1.8547 0.9554 4.3383 H
1.6028 8.1853 10.5000 H
5.0604 5.5257 1.8234 H
1.8245 3.9498 4.3450 H
5.2820 0.6205 7.9784 H
5.0906 8.5201 1.8167 H
1.6331 5.1908 10.5067 H
5.0906 5.1908 7.9784 H
1.6331 8.5201 4.3450 H
1.8245 0.6205 10.5067 H
5.2820 3.9498 1.8167 H
1.5308 2.5223 1.6852 I
4.9884 2.0481 10.6382 I
5.3843 7.0926 4.4765 I
1.9268 6.6184 7.8469 I
5.3843 6.6184 10.6382 I
1.9268 7.0926 1.6852 I
1.5308 2.0481 7.8469 I
4.9884 2.5223 4.4765 I
3.0503 2.6640 0.6636 O
6.5079 1.9064 11.6598 O
3.8648 7.2343 5.4981 O
0.4072 6.4767 6.8253 O
3.8648 6.4767 11.6598 O
0.4072 7.2343 0.6636 O
3.0503 1.9064 6.8253 O
6.5079 2.6640 5.4981 O
2.2470 2.5287 3.3708 O
5.7046 2.0416 8.9526 O
4.6681 7.0990 2.7909 O
1.2106 6.6119 9.5325 O
4.6681 6.6119 8.9526 O
1.2106 7.0990 3.3708 O
2.2470 2.0416 9.5325 O
5.7046 2.5287 2.7909 O
1.2348 0.7182 1.5280 O
4.6924 3.8521 10.7954 O
5.6803 5.2885 4.6337 O
2.2228 8.4225 7.6897 O
5.6803 8.4225 10.7954 O
2.2228 5.2885 1.5280 O
1.2348 3.8521 7.6897 O
4.6924 0.7182 4.6337 O
1.6658 4.7367 4.9301 O
5.1234 8.9742 7.3933 O
5.2493 0.1664 1.2316 O
1.7918 4.4039 11.0918 O
5.2493 4.4039 7.3933 O
1.7918 0.1664 4.9301 O
1.6658 8.9742 11.0918 O
5.1234 4.7367 1.2316 O
```


No. 3
## Mo3As4O16 (PBE+U)

Data for a geometry-optimized Mo3As4O16 structure.

Properties
Total energy after the MP2020 corrections, eV per atom: -7.332
Symmetry: P2_1/c
Size of the total moment, μB/f.u.: 2.00
ρ, g/cm³: 4.1
Energy of formation from the pure elements, meV per atom: -1665.5

Cell and atoms, written as POSCAR:
```
Mo3As4O16
1.0
-0.0189 -4.6172 1.7646
8.4224 -0.8977 -2.2587
6.7138 5.1087 13.4392
Mo As O
6 8 32
Cartesian
5.9587 0.8750 8.5547 Mo
9.1586 -1.2812 4.3903 Mo
12.5081 -0.5542 11.8083 Mo
2.6093 0.1480 1.1368 Mo
7.5681 2.1055 5.5902 Mo
4.2018 -2.7574 -0.2471 Mo
3.8242 1.4718 4.0928 As
5.9519 -0.5208 5.2555 As
5.8002 -4.5026 1.7582 As
9.3172 4.0964 11.1868 As
11.2932 -1.8780 8.8523 As
9.1655 0.1146 7.6895 As
7.1722 1.8514 11.6435 As
7.9452 -2.2576 1.3015 As
8.3550 -1.1414 2.6327 O
5.9052 -4.1629 -0.0169 O
5.2494 0.1543 3.8052 O
2.1046 -1.0512 2.2781 O
9.8680 -0.5605 9.1398 O
11.7175 2.7924 8.8251 O
6.5114 -3.0373 2.3906 O
10.3831 0.6260 12.1155 O
7.9233 0.6439 12.8081 O
6.7624 0.7352 10.3123 O
5.4657 2.5333 8.6040 O
4.7343 -1.0322 0.8295 O
7.7583 0.2984 4.8545 O
7.1941 -1.0501 0.1369 O
4.5158 -0.0349 8.6866 O
13.9629 3.2868 10.5562 O
4.0007 -3.6118 1.5058 O
8.6060 2.6311 10.5544 O
10.5492 1.0682 7.0231 O
8.0913 1.5342 7.5445 O
1.1544 -3.6930 2.3888 O
10.6015 -0.3713 4.2584 O
9.2121 3.7566 12.9619 O
5.8540 0.9170 6.3514 O
7.3591 -0.7046 8.0906 O
3.3998 -3.1986 4.1199 O
13.0128 0.6450 10.6669 O
4.5681 -1.4744 5.9219 O
9.2633 -1.3232 6.5936 O
7.0261 -1.9404 5.4006 O
11.1166 3.2056 11.4392 O
9.6517 -2.9395 4.3410 O
```


No. 4
## SrCa3Co4O12 (PBE+U)

Data for a geometry-optimized SrCa3Co4O12 structure.

Properties
Total energy after the MP2020 corrections, eV per atom: -6.708
Symmetry: P4/mmm
Size of the total moment, μB/f.u.: 12.14
ρ, g/cm³: 4.8
Energy of formation from the pure elements, meV per atom: -1932.0

Cell and atoms, written as POSCAR:
```
SrCa3Co4O12
1.0
-1.8051 -1.9098 7.0537
-1.4148 -7.0369 -2.2674
3.7007 -0.9650 0.6857
Sr Ca Co O
1 3 4 12
Cartesian
0.2404 -4.9559 2.7361 Sr
1.1429 -4.0010 -0.7908 Ca
1.8503 -0.4825 0.3429 Ca
0.9478 -1.4374 3.8697 Ca
-1.7079 -3.1860 4.7337 Co
-0.8014 -2.2269 1.1913 Co
-2.4185 -6.7199 3.5951 Co
-1.5119 -5.7608 0.0527 Co
0.1413 -3.6541 5.1027 O
1.0579 -2.6842 1.5208 O
-0.5771 -7.2275 3.9514 O
0.3395 -6.2577 0.3694 O
-2.0732 -4.9635 4.2034 O
-1.1467 -3.9833 0.5830 O
-1.3532 -1.4317 5.2879 O
-0.4519 -0.4781 1.7658 O
-0.3542 -1.7616 -0.5676 O
-1.2469 -2.6675 2.9751 O
-1.0606 -5.2753 -1.6997 O
-1.9730 -6.2792 1.8113 O
```


No. 5
## KMn2P2HO9 (PBE+U)

Data for a geometry-optimized KMn2P2HO9 structure.

Properties
E above lowest polymorph, meV per atom: 16
Total energy after the MP2020 corrections, eV per atom: -7.578
Symmetry: P2_1/m
Size of the total moment, μB/f.u.: 8.00
ρ, g/cm³: 3.2
Energy of formation from the pure elements, meV per atom: -2365.7

Cell and atoms, written as POSCAR:
```
KMn2P2HO9
1.0
6.7818 0.0000 0.0000
0.0000 6.5669 0.0000
0.0000 3.0549 8.4069
K Mn P H O
2 4 4 2 18
Cartesian
1.6954 6.7092 1.6865 K
5.0863 2.9126 6.7203 K
1.6954 5.2397 5.9639 Mn
5.0863 4.3820 2.4430 Mn
3.3909 3.2834 0.0000 Mn
0.0000 3.2834 0.0000 Mn
1.6954 8.3968 6.8076 P
5.0863 5.8556 5.3929 P
1.6954 3.7662 3.0140 P
5.0863 1.2249 1.5992 P
5.0863 1.5330 3.8029 H
1.6954 8.0888 4.6040 H
2.9638 8.0974 7.6465 O
0.4271 8.0974 7.6465 O
5.0863 7.2981 4.9070 O
1.6954 7.4665 5.5143 O
5.0863 6.3551 2.0512 O
1.6954 5.6489 7.8455 O
6.3368 5.5478 6.2960 O
3.8358 5.5478 6.2960 O
1.6954 4.8924 4.0988 O
5.0863 4.7294 4.3081 O
2.9459 4.0739 2.1108 O
0.4450 4.0739 2.1108 O
5.0863 3.9729 0.5614 O
1.6954 3.2667 6.3556 O
5.0863 2.1553 2.8926 O
1.6954 2.3237 3.4999 O
6.3546 1.5244 0.7604 O
3.8180 1.5244 0.7604 O
```


No. 6
## CsMnCl3O2 (PBE+U)

Data for a geometry-optimized CsMnCl3O2 structure.

Properties
Total energy after the MP2020 corrections, eV per atom: -4.751
Symmetry: Pcca
Size of the total moment, μB/f.u.: 3.00
ρ, g/cm³: 2.7
Energy of formation from the pure elements, meV per atom: -1108.0

Cell and atoms, written as POSCAR:
```
CsMnCl3O2
1.0
-7.1421 1.6861 0.4813
-2.2010 -8.5048 -2.8658
-0.1294 -3.7688 11.2839
Cs Mn Cl O
4 4 12 8
Cartesian
-1.7330 -8.7751 5.0261 Cs
-0.6620 -5.3828 9.0340 Cs
-0.5973 -3.4984 3.3920 Cs
-1.6683 -6.8907 -0.6159 Cs
-5.1362 -6.1491 7.2955 Mn
-3.3005 -2.0703 8.6788 Mn
-4.3362 -4.4383 1.6040 Mn
-3.9710 -0.0123 3.0864 Mn
-5.3059 -7.9874 5.4326 Cl
-4.2312 -4.4843 9.1088 Cl
-4.1665 -2.5999 3.4668 Cl
-5.2412 -6.1031 -0.2094 Cl
-6.7478 -7.0747 8.6329 Cl
-3.9241 -10.6500 7.4712 Cl
-2.0799 -2.6559 6.8321 Cl
-6.3224 -4.5630 6.1465 Cl
-2.7246 -3.5127 0.2665 Cl
-5.5483 0.0626 1.4282 Cl
-7.3925 -7.9315 2.0673 Cl
-3.1500 -6.0244 2.7529 Cl
-3.3220 -7.0389 7.6428 O
-7.3284 -10.0600 6.5878 O
-5.2476 -1.6943 8.1583 O
-3.1762 -6.1503 6.6938 O
-6.1504 -3.5485 1.2566 O
-2.1440 -0.5274 2.3116 O
-4.2248 -8.8931 0.7411 O
-6.2962 -4.4371 2.2056 O
```